No. 1
Entry from the Materials Project database: a relaxed K2FeAgF6 crystal (PBE with a Hubbard U).

Cell lengths 8.7323, 8.7323, 8.7323 Å; angles 90.00, 90.00, 90.00 degrees
Space group Fm-3m (No. 225)
Inequivalent atoms, fractional coordinates:
K  0.2500  0.2500  0.2500 [8 per cell]
Fe  0.0000  0.0000  0.0000 [4 per cell]
Ag  0.0000  0.0000  0.5000 [4 per cell]
F  0.0000  0.0000  0.2252 [24 per cell]

No. 2
Entry from the Materials Project database: a relaxed Li2FeAgF6 crystal (PBE with a Hubbard U).

Cell lengths 8.3570, 8.3570, 8.3570 Å; angles 90.00, 90.00, 90.00 degrees
Space group Fm-3m (No. 225)
Inequivalent atoms, fractional coordinates:
Li  0.2500  0.2500  0.2500 [8 per cell]
Fe  0.0000  0.0000  0.0000 [4 per cell]
Ag  0.0000  0.0000  0.5000 [4 per cell]
F  0.0000  0.0000  0.2247 [24 per cell]

No. 3
Entry from the Materials Project database: a relaxed Na2FeAgF6 crystal (PBE with a Hubbard U).

Cell lengths 8.6115, 8.6115, 8.6115 Å; angles 90.00, 90.00, 90.00 degrees
Space group Fm-3m (No. 225)
Inequivalent atoms, fractional coordinates:
Na  0.2500  0.2500  0.2500 [8 per cell]
Fe  0.0000  0.0000  0.0000 [4 per cell]
Ag  0.0000  0.0000  0.5000 [4 per cell]
F  0.0000  0.0000  0.2269 [24 per cell]

No. 4
Entry from the Materials Project database: a relaxed FeNiAg2F7 crystal (PBE with a Hubbard U).

Cell lengths 7.5400, 10.5680, 7.6776 Å; angles 90.00, 90.00, 90.00 degrees
Space group Imma (No. 74)
Inequivalent atoms, fractional coordinates:
Fe  0.2500  0.2500  0.2500 [4 per cell]
Ni  0.0000  0.0000  0.0000 [4 per cell]
Ag  0.0000  0.0000  0.5000 [4 per cell]
Ag  0.2500  0.2500  0.7500 [4 per cell]
F  0.0000  0.0946  0.7709 [8 per cell]
F  0.0000  0.2500  0.3385 [4 per cell]
F  0.1963  0.1213  0.0778 [16 per cell]

For the records above, the corresponding uncorrected energy values read -4.559, -4.393, -4.434, -4.340 eV per atom.
For the records above, the corresponding formation enthalpy at 0 K values read -2.5604, -2.2351, -2.3937, -2.0410 eV per atom.
For the records above, the corresponding magnetization values read 5.00, 5.00, 5.00, 7.00 μB/f.u..